No. 1
20
Lattice="4.408 4.449 -0.609 4.408 -4.449 -0.609 -0.367 0.000 -9.462" Properties=species:S:1:pos:R:3 comment="K2MoO2F5 GGA+U optimized geometry" corrected_energy_ev_per_atom=-5.620 final_energy_ev_per_cell=-98.622 delta_e_f_ev_per_atom=-2.366 pbc="T T T"
Mo 6.766 -0.117 -3.460
Mo 1.682 -0.117 -7.222
K 4.224 2.193 -5.341
K 5.954 -0.057 -8.417
K 2.494 -0.057 -2.265
K 4.224 -2.366 -5.341
F 4.138 4.307 -7.446
F 4.771 -0.074 -3.651
F 1.673 1.872 -7.078
F 4.310 4.307 -3.236
F 6.775 1.872 -3.603
F 3.677 -0.074 -7.031
F 1.788 0.037 -5.156
F 6.147 2.379 -7.404
F 2.301 2.379 -3.278
F 6.660 0.037 -5.525
O 1.624 -0.259 -8.948
O 6.824 -0.259 -1.734
O 4.408 2.115 -0.609
O 4.408 -1.454 -0.609


No. 2
56
Lattice="-3.750 -7.287 1.361 5.796 -3.834 -4.552 4.620 -1.105 6.815" Properties=species:S:1:pos:R:3 comment="Li2MnCu3O8 GGA+U optimized geometry" corrected_energy_ev_per_atom=-5.984 final_energy_ev_per_cell=-306.433 delta_e_f_ev_per_atom=-1.351 pbc="T T T"
O 5.266 -4.400 -3.126
O 7.151 -4.450 3.112
O 2.449 -6.138 6.122
O 2.905 -8.607 5.387
O 5.298 -7.801 4.112
O 1.094 -8.911 -0.740
O 2.544 -5.308 -1.498
O 4.929 -3.559 -0.039
O 1.937 -1.886 1.997
O 0.747 -8.368 2.043
O 2.707 -6.721 3.585
O 5.707 -8.501 0.998
O 4.374 -2.267 5.709
O 0.413 -6.063 -0.178
O 0.159 -5.271 3.014
O 7.594 -6.933 2.407
O 2.177 -2.505 -0.533
O 3.059 -9.489 2.536
O 0.060 -3.263 0.805
O 5.286 -5.819 1.885
O 5.488 -6.631 -0.818
O 2.022 -3.882 4.220
O 2.943 -7.514 0.475
O 4.843 -5.317 4.798
O 5.951 -10.913 3.235
O 3.219 -8.127 -2.056
O -2.146 -7.073 1.491
O 2.382 -4.369 1.295
O 7.426 -5.066 0.582
O 3.422 -9.989 -0.225
O 4.680 -2.959 2.498
O 0.581 -7.504 4.897
Cu 3.435 -2.734 0.991
Cu 8.653 -5.270 2.140
Cu 4.457 -8.314 -0.538
Cu 1.310 -4.291 -0.352
Cu 6.231 -6.116 3.610
Cu 1.824 -7.100 -1.122
Cu 6.046 -4.007 1.546
Cu 1.812 -8.492 3.723
Cu 1.521 -7.839 6.593
Cu 2.371 -9.897 -1.912
Cu 1.044 -3.588 2.508
Cu 1.297 -5.703 4.559
Li -1.406 -7.834 4.771
Li 4.531 -4.979 -1.372
Li 7.512 -3.046 4.515
Li -0.202 -6.676 1.611
Li 3.989 -3.598 4.283
Li 3.910 -7.488 -3.840
Li 5.016 -9.198 2.727
Li 3.317 -6.083 1.803
Mn 3.873 -6.959 5.107
Mn 6.553 -6.777 0.787
Mn 0.833 -1.528 0.453
Mn 2.074 -9.186 0.902


No. 3
16
Lattice="-2.736 -0.658 0.630 1.295 -5.762 6.214 -1.048 3.949 6.256" Properties=species:S:1:pos:R:3 comment="CoPtO2 GGA+U optimized geometry" corrected_energy_ev_per_atom=-6.810 final_energy_ev_per_cell=-96.919 delta_e_f_ev_per_atom=-1.042 pbc="T T T"
Pt -2.609 -1.574 6.886
Pt 0.244 -1.804 12.449
Pt -1.830 1.192 6.560
Pt -0.659 -3.663 6.539
Co -0.781 -0.338 9.526
Co -1.689 -2.186 3.606
Co -0.923 0.622 3.259
Co -1.584 -3.039 9.809
O -2.277 1.179 4.604
O -2.176 -1.485 8.866
O -1.383 1.206 8.517
O -2.312 -0.575 2.536
O -0.300 -0.991 4.330
O -0.253 -3.505 8.500
O -0.189 -1.893 10.469
O -1.064 -3.822 4.579


No. 4
16
Lattice="-1.715 -2.999 -4.050 3.367 -4.308 1.765 -4.552 -3.277 4.355" Properties=species:S:1:pos:R:3 comment="VO2F GGA+U optimized geometry" corrected_energy_ev_per_atom=-7.610 final_energy_ev_per_cell=-107.615 delta_e_f_ev_per_atom=-2.386 pbc="T T T"
O -0.782 -6.757 0.992
O 0.008 -5.205 3.007
O -2.119 -3.826 1.077
O -0.517 -7.158 4.562
O -0.312 -4.901 -0.694
O -2.908 -5.379 -0.937
O -2.383 -3.426 -2.492
O -2.588 -5.682 2.764
F 1.199 -3.475 1.433
F -4.100 -7.109 0.637
F -1.869 -8.305 2.812
F -1.031 -2.278 -0.742
V -1.678 -3.931 -0.605
V -0.495 -6.960 -0.904
V -2.406 -3.624 2.974
V -1.223 -6.653 2.675


No. 5
32
Lattice="-1.719 5.740 0.000 3.450 4.158 2.531 1.734 0.518 -10.215" Properties=species:S:1:pos:R:3 comment="Li4Ni3SbO8 GGA+U optimized geometry" corrected_energy_ev_per_atom=-6.077 final_energy_ev_per_cell=-168.231 delta_e_f_ev_per_atom=-1.784 pbc="T T T"
O -0.084 4.716 -0.605
O 2.659 8.665 -7.076
O 0.799 3.364 -3.280
O 1.594 3.599 -8.438
O -0.133 6.211 -3.331
O 2.660 3.919 0.703
O 2.652 5.534 -1.970
O 2.666 7.048 -4.404
O 3.548 5.703 -7.072
O 0.808 6.494 -8.388
O 1.875 6.807 0.757
O 1.643 2.107 -5.714
O 3.602 4.196 -4.352
O 0.807 1.755 -0.613
O 1.820 8.312 -1.964
O 0.813 4.885 -5.719
Sb 0.006 3.134 -5.108
Sb 1.733 0.523 -10.215
Ni 4.315 4.422 -2.576
Ni 0.873 3.394 -10.213
Ni 3.463 8.845 -5.138
Ni 3.456 5.718 -0.031
Ni -0.855 4.429 -2.547
Ni 0.873 1.818 -7.654
Li 2.593 3.909 -6.397
Li 1.737 6.767 -6.395
Li 0.011 7.819 1.261
Li 0.867 4.955 1.266
Li 1.730 3.638 -1.288
Li 2.589 2.336 -3.838
Li 1.725 5.214 -3.842
Li 0.866 6.520 -1.291


No. 6
30
Lattice="2.433 -3.030 -1.249 -3.719 -5.163 -1.385 -0.588 6.830 -11.046" Properties=species:S:1:pos:R:3 comment="Li3TiV3O8 GGA+U optimized geometry" corrected_energy_ev_per_atom=-7.997 final_energy_ev_per_cell=-218.728 delta_e_f_ev_per_atom=-2.633 pbc="T T T"
O 1.033 -0.746 -2.826
O -0.246 1.485 -4.057
O -2.400 2.319 -10.274
O -0.630 2.765 -7.911
O -0.802 -1.436 -4.722
O -2.955 -0.603 -10.934
O -1.188 -4.114 -5.645
O -1.017 -5.572 -1.778
O 0.378 1.882 -10.475
O 0.572 -3.598 -3.474
O -2.193 -3.230 -3.079
O -2.486 -1.844 -7.008
O -1.581 -2.764 -9.689
O -0.919 4.153 -11.837
O -1.119 0.089 -9.043
O 0.549 0.425 -6.609
Li -0.423 2.131 -5.974
Li -2.319 1.591 -8.355
Li -0.166 0.758 -2.139
Li -1.686 -2.085 -11.536
Li -1.987 -3.865 -1.141
Li 0.467 -2.919 -5.321
V -1.337 0.718 -10.990
V -1.059 -4.879 -3.541
V 0.816 -0.115 -4.775
V -2.672 -1.208 -8.922
V -0.518 -2.042 -2.707
V 0.507 1.118 -8.372
Ti -0.755 3.606 -10.193
Ti -2.320 -2.390 -5.363


No. 7
18
Lattice="-2.990 2.030 -2.928 -0.513 -4.810 -2.810 -5.897 -2.414 4.348" Properties=species:S:1:pos:R:3 comment="Fe3O4F2 GGA+U optimized geometry" corrected_energy_ev_per_atom=-7.217 final_energy_ev_per_cell=-109.020 delta_e_f_ev_per_atom=-1.769 pbc="T T T"
Fe -7.030 -0.084 -0.205
Fe -3.814 -4.130 -2.600
Fe -5.752 -3.239 -0.293
Fe -1.592 -0.128 -2.077
Fe -9.238 -4.095 -0.715
Fe -2.337 -2.845 0.188
O -6.780 -1.854 0.561
O -5.907 -1.985 3.207
O -4.923 -2.602 -1.918
O -3.171 -3.429 -4.281
O -2.244 -3.596 -1.583
O -7.339 -3.978 -1.233
O -4.153 -2.812 0.845
O -2.408 -0.980 -0.496
F -4.665 -4.977 -0.906
F -3.214 -0.784 -3.184
F -6.495 -4.200 1.491
F -5.037 -0.013 -0.779


No. 8
32
Lattice="1.447 6.498 0.000 -1.447 6.498 0.000 0.000 0.669 15.298" Properties=species:S:1:pos:R:3 comment="Li9Mn2Co5O16 GGA+U optimized geometry" corrected_energy_ev_per_atom=-6.494 final_energy_ev_per_cell=-185.287 delta_e_f_ev_per_atom=-1.800 pbc="T T T"
Li 0.000 7.537 4.731
Li 0.000 5.445 13.406
Li 0.000 4.119 0.910
Li 0.000 9.624 14.269
Li 0.000 10.944 8.694
Li 0.000 12.268 2.825
Li 0.000 2.747 6.655
Li 0.000 1.317 12.431
Li 0.000 6.117 10.630
Co 0.000 2.099 9.657
Co 0.000 10.439 11.595
Co 0.000 8.197 1.900
Co 0.000 11.611 5.712
Co 0.000 3.419 3.814
O 0.000 6.175 1.297
O 0.000 8.732 8.175
O 0.000 5.413 4.401
O 0.000 11.767 14.880
O 0.000 10.213 2.510
O 0.000 12.201 11.891
O 0.000 8.222 10.863
O 0.000 13.033 8.886
O 0.000 7.483 14.060
O 0.000 1.417 3.187
O 0.000 3.389 12.797
O 0.000 0.684 6.374
O 0.000 9.578 5.175
O 0.000 4.011 10.082
O 0.000 1.882 0.616
O 0.000 4.972 7.092
Mn 0.000 13.554 15.273
Mn 0.000 6.862 7.630


No. 9
22
Lattice="-4.806 -1.641 1.387 4.085 -3.391 0.152 1.883 2.703 9.720" Properties=species:S:1:pos:R:3 comment="Li2Cr2SnO6 GGA+U optimized geometry" corrected_energy_ev_per_atom=-7.415 final_energy_ev_per_cell=-146.880 delta_e_f_ev_per_atom=-2.249 pbc="T T T"
Sn 2.624 -2.860 5.705
Sn -4.806 -1.641 1.387
O 0.813 -3.683 5.209
O 1.425 -1.363 6.678
O -1.475 -0.939 7.122
O 1.468 0.656 9.212
O 1.600 -0.919 1.103
O 2.649 -3.677 1.586
O -0.306 -2.985 2.046
O -0.263 -0.966 4.580
O 2.637 -1.390 4.137
O 2.598 -2.043 9.824
O 0.349 1.354 6.050
O -0.438 -1.410 10.156
Cr -0.330 -2.302 6.122
Cr -1.852 -2.201 0.971
Cr 3.014 -0.129 10.288
Cr 1.492 -0.027 5.136
Li 0.865 -1.583 2.981
Li 2.700 0.074 7.583
Li 0.297 -0.747 8.277
Li -1.538 -2.403 3.675


No. 10
77
Lattice="-1.279 -5.261 -1.246 6.910 -0.108 -6.663 14.170 -5.844 10.122" Properties=species:S:1:pos:R:3 comment="Sr16Fe16O45 GGA+U optimized geometry" corrected_energy_ev_per_atom=-7.275 final_energy_ev_per_cell=-493.170 delta_e_f_ev_per_atom=-2.272 pbc="T T T"
Sr 14.773 -7.432 3.819
Sr 12.236 -8.613 -0.882
Sr 17.987 -5.535 4.881
Sr 4.972 -3.807 -1.543
Sr 10.310 -5.259 -0.742
Sr 13.942 -8.131 7.617
Sr 7.082 -7.143 -1.733
Sr 9.553 -5.971 2.911
Sr 11.851 -4.742 7.809
Sr 7.967 -6.442 -5.649
Sr 4.238 -4.453 2.098
Sr 12.781 -4.066 4.025
Sr 5.791 -3.090 -5.472
Sr 1.849 -5.688 -2.661
Sr 6.195 -7.782 1.859
Sr 15.589 -6.792 0.150
O 15.249 -9.510 5.756
O 10.963 -2.672 -0.180
O 9.947 -3.381 3.628
O 17.381 -8.144 4.284
O 0.328 -4.325 -0.885
O 6.989 -5.164 2.675
O 7.583 -4.330 -1.277
O 10.539 -5.354 5.339
O 8.308 -3.657 -4.957
O 12.216 -6.708 3.496
O 4.851 -1.874 2.773
O 5.774 -1.239 -1.066
O 8.913 -3.911 1.166
O 10.892 -7.297 1.042
O 13.541 -8.038 1.419
O 2.444 -3.033 -2.069
O 14.181 -5.406 2.084
O 6.426 -5.132 -3.612
O 16.804 -6.128 2.475
O 8.274 -6.525 0.531
O 16.152 -8.793 1.801
O 5.635 -5.800 0.198
O 4.618 -1.862 -3.400
O 9.645 -3.162 -2.594
O 11.282 -7.361 7.184
O 3.741 -4.361 -4.106
O 12.732 -8.827 5.393
O 13.361 -6.069 6.013
O 11.539 -4.668 1.666
O 15.966 -6.794 6.401
O 14.125 -10.060 3.200
O 12.487 -3.990 -2.106
O 6.615 -0.664 -4.689
O 18.854 -9.580 2.254
O 13.075 -5.938 -0.372
O 19.529 -6.840 2.830
O 16.060 -4.180 0.558
O 7.476 -7.226 4.349
O 6.254 -3.176 0.827
O 3.628 -2.429 0.354
O 2.994 -5.074 -0.261
O 1.002 -1.565 -0.323
O 9.129 -5.875 -3.195
O 10.155 -8.010 4.771
O 11.686 -6.646 -2.770
Fe 16.970 -8.500 6.196
Fe 7.276 -4.838 0.683
Fe 5.279 -1.505 0.892
Fe 4.747 -5.945 -4.105
Fe 13.238 -5.755 -2.268
Fe 15.797 -4.458 2.537
Fe 13.738 -10.377 5.003
Fe 8.148 -4.301 -3.109
Fe 6.888 -0.153 -6.519
Fe 12.560 -6.346 1.550
Fe 17.802 -7.827 2.383
Fe 11.352 -2.338 -2.041
Fe 11.742 -7.024 5.338
Fe 10.530 -2.980 1.727
Fe 1.970 -3.343 -0.203
Fe 8.555 -8.841 4.264


No. 11
28
Lattice="5.628 0.000 0.000 0.000 7.071 0.000 0.000 0.016 12.061" Properties=species:S:1:pos:R:3 comment="Ta3NbV4O20 GGA+U optimized geometry" corrected_energy_ev_per_atom=-9.310 final_energy_ev_per_cell=-240.131 delta_e_f_ev_per_atom=-2.846 pbc="T T T"
V 0.000 3.319 7.914
V 2.814 3.761 4.149
V 2.814 6.857 10.186
V 0.000 0.231 1.867
O 2.814 3.343 2.432
O 4.225 4.662 4.515
O 1.417 1.134 1.500
O 0.000 4.780 6.964
O 2.814 0.200 8.477
O 4.217 0.010 6.037
O 4.211 2.412 7.541
O 0.000 6.893 3.576
O 1.411 0.010 6.037
O 1.403 4.662 4.515
O 2.814 2.292 5.116
O 1.397 5.953 10.555
O 4.231 5.953 10.555
O 1.406 3.551 12.057
O 4.222 3.551 12.057
O 0.000 5.830 0.916
O 1.418 2.412 7.541
O 0.000 3.737 9.619
O 4.211 1.134 1.500
O 2.814 1.254 11.143
Nb 0.000 5.989 5.344
Ta 0.000 4.667 11.371
Ta 2.814 1.148 6.737
Ta 2.814 2.428 0.693